# 1
# Sm2InGe2

Sm2InGe2 after structural relaxation (meta-GGA r2SCAN, Materials Project).

Cell: 7.4974 7.4974 4.2621 Å, 90.00 90.00 90.00°
With the nearest neighbours (Å) after each atom.
Space group P4/mbm (No. 127)
Inequivalent atoms, fractional coordinates:
Sm: 0.1799 0.3201 0.0000  6 Ge 3.02-3.12
In: 0.0000 0.0000 0.5000  4 Ge 3.00
Ge: 0.1177 0.6177 0.5000  1 Ge 2.50

# 2
# HfAg

HfAg after structural relaxation (meta-GGA r2SCAN, Materials Project).

Cell: 3.4219 3.4219 6.5717 Å, 90.00 90.00 90.00°
With the nearest neighbours (Å) after each atom.
Space group P4/nmm (No. 129, origin choice 2)
Inequivalent atoms, fractional coordinates:
Hf: 0.2500 0.2500 0.1415  5 Ag 2.90-3.12, 4 Hf 3.05
Ag: 0.2500 0.2500 0.6159  4 Ag 2.86, 5 Hf 2.90-3.12

# 3
# ErSi3Ni

ErSi3Ni after structural relaxation (meta-GGA r2SCAN, Materials Project).

Cell: 3.8925 20.8551 3.9226 Å, 90.00 90.00 90.00°
With the nearest neighbours (Å) after each atom.
Space group Cmmm (No. 65)
Inequivalent atoms, fractional coordinates:
Er: 0.0000 0.1686 0.0000  10 Si 2.95-3.08, 4 Ni 3.02
Si: 0.0000 0.0564 0.5000  2 Ni 2.25, 1 Si 2.35
Si: 0.0000 0.2823 0.5000  1 Ni 2.23, 2 Si 2.37
Si: 0.0000 0.4436 0.0000  2 Ni 2.26, 1 Si 2.35
Ni: 0.0000 0.3893 0.5000  5 Si 2.23-2.26

no.,ΔH_f (0 K) (kcal/mol of atoms),DFT total energy (eV per cell),magnetization (μB per formula unit)
1,-19.36,-227.97,0.00
2,-2.62,-133.47,0.00
3,-16.17,-302.94,0.00